[1]
# CePbAu2 meta-GGA r2SCAN relaxed
# Magnetic moment (μB/cell): 0.97
# V (Å³/cell): 95.2
# Symmetry: No. 225
# E_form (meV per atom): -662
data_CePbAu2
_space_group_name_H-M_alt 'P 1'
_space_group_IT_number 1
_space_group_name_Hall 'P 1'
_cell_length_a 5.126
_cell_length_b 5.126
_cell_length_c 5.126
_cell_angle_alpha 60.00
_cell_angle_beta 60.00
_cell_angle_gamma 60.00
loop_
_atom_site_label
_atom_site_type_symbol
_atom_site_fract_x
_atom_site_fract_y
_atom_site_fract_z
Ce1 Ce 0.500 0.500 0.500
Pb1 Pb 0.000 0.000 0.000
Au1 Au 0.250 0.250 0.250
Au2 Au 0.750 0.750 0.750

---

[2]
# CePt2Au3 meta-GGA r2SCAN relaxed
# Magnetic moment (μB/cell): 0.99
# V (Å³/cell): 115.2
# Symmetry: No. 44
# E_form (meV per atom): -684
data_CePt2Au3
_space_group_name_H-M_alt 'P 1'
_space_group_IT_number 1
_space_group_name_Hall 'P 1'
_cell_length_a 5.449
_cell_length_b 5.454
_cell_length_c 5.450
_cell_angle_alpha 119.97
_cell_angle_beta 119.23
_cell_angle_gamma 90.68
loop_
_atom_site_label
_atom_site_type_symbol
_atom_site_fract_x
_atom_site_fract_y
_atom_site_fract_z
Ce1 Ce 0.006 0.006 0.000
Pt1 Pt 0.125 0.374 0.751
Pt2 Pt 0.624 0.374 0.249
Au1 Au 0.623 0.872 0.249
Au2 Au 0.623 0.374 0.751
Au3 Au 0.249 0.749 0.500

---

[3]
# CeSi2Au4 meta-GGA r2SCAN relaxed
# Magnetic moment (μB/cell): 0.97
# V (Å³/cell): 131.6
# Symmetry: No. 65
# E_form (meV per atom): -514
data_CeSi2Au4
_space_group_name_H-M_alt 'P 1'
_space_group_IT_number 1
_space_group_name_Hall 'P 1'
_cell_length_a 4.392
_cell_length_b 4.386
_cell_length_c 7.175
_cell_angle_alpha 90.00
_cell_angle_beta 107.82
_cell_angle_gamma 90.00
loop_
_atom_site_label
_atom_site_type_symbol
_atom_site_fract_x
_atom_site_fract_y
_atom_site_fract_z
Ce1 Ce 0.000 0.000 0.000
Si1 Si 0.587 0.500 0.173
Si2 Si 0.413 0.500 0.827
Au1 Au 0.174 0.500 0.349
Au2 Au 0.326 0.000 0.651
Au3 Au 0.826 0.500 0.651
Au4 Au 0.674 0.000 0.349

---

[4]
# YbCeAu2 meta-GGA r2SCAN relaxed
# Magnetic moment (μB/cell): 1.07
# V (Å³/cell): 95.1
# Symmetry: No. 225
# E_form (meV per atom): -837
data_YbCeAu2
_space_group_name_H-M_alt 'P 1'
_space_group_IT_number 1
_space_group_name_Hall 'P 1'
_cell_length_a 5.123
_cell_length_b 5.123
_cell_length_c 5.123
_cell_angle_alpha 60.00
_cell_angle_beta 60.00
_cell_angle_gamma 60.00
loop_
_atom_site_label
_atom_site_type_symbol
_atom_site_fract_x
_atom_site_fract_y
_atom_site_fract_z
Yb1 Yb 0.000 0.000 0.000
Ce1 Ce 0.500 0.500 0.500
Au1 Au 0.750 0.750 0.750
Au2 Au 0.250 0.250 0.250